Compound: NdSiPd
Source: Materials Project
Functional: PBE
Structure: optimized geometry

a = 4.453 Å, b = 7.574 Å, c = 21.858 Å
α = 90.00°, β = 90.00°, γ = 90.00°
Positions (direct):
Pd  0.250  0.417  0.237
Si  0.750  0.915  0.606
Pd  0.750  0.917  0.263
Nd  0.250  0.711  0.002
Nd  0.750  0.205  0.834
Pd  0.750  0.919  0.406
Si  0.250  0.084  0.273
Pd  0.750  0.583  0.763
Nd  0.250  0.789  0.502
Pd  0.250  0.081  0.594
Pd  0.250  0.083  0.936
Nd  0.750  0.211  0.498
Pd  0.750  0.581  0.906
Si  0.250  0.085  0.394
Nd  0.750  0.295  0.667
Pd  0.250  0.419  0.094
Si  0.250  0.410  0.570
Si  0.750  0.585  0.106
Si  0.750  0.916  0.727
Si  0.250  0.090  0.070
Nd  0.750  0.205  0.167
Pd  0.750  0.917  0.064
Si  0.250  0.416  0.773
Nd  0.250  0.795  0.166
Nd  0.250  0.705  0.333
Pd  0.250  0.417  0.436
Si  0.750  0.584  0.227
Nd  0.250  0.795  0.833
Nd  0.750  0.295  0.334
Pd  0.250  0.083  0.737
Nd  0.750  0.289  0.998
Pd  0.750  0.583  0.564
Si  0.750  0.590  0.430
Si  0.250  0.415  0.894
Nd  0.250  0.705  0.666
Si  0.750  0.910  0.930

calculated volume = 20.478 Å³/atom
formation enthalpy at 0 K = -0.93 eV per atom

=====

Compound: Ca5Ge6Pd6
Source: Materials Project
Functional: PBE
Structure: optimized geometry

a = 7.663 Å, b = 7.663 Å, c = 7.663 Å
α = 109.47°, β = 109.47°, γ = 109.47°
Positions (direct):
Pd  0.250  0.750  0.500
Pd  0.500  0.750  0.250
Ca  0.000  0.000  0.000
Ge  0.000  0.653  0.653
Ge  0.653  0.653  0.000
Ge  0.653  0.000  0.653
Pd  0.750  0.250  0.500
Ge  0.000  0.347  0.347
Ca  0.500  0.000  0.000
Pd  0.500  0.250  0.750
Ca  0.000  0.500  0.000
Ca  0.500  0.500  0.500
Ge  0.347  0.347  0.000
Pd  0.750  0.500  0.250
Pd  0.250  0.500  0.750
Ge  0.347  0.000  0.347
Ca  0.000  0.000  0.500

calculated volume = 20.375 Å³/atom
formation enthalpy at 0 K = -0.79 eV per atom

=====

Compound: Li2SnP2O7
Source: Materials Project
Functional: PBE
Structure: optimized geometry

a = 8.345 Å, b = 8.345 Å, c = 9.464 Å
α = 65.07°, β = 65.07°, γ = 36.57°
Positions (direct):
O  0.451  0.780  0.564
O  0.220  0.549  0.936
O  0.276  0.068  0.108
P  0.231  0.986  0.682
O  0.352  0.887  0.824
Sn  0.500  0.500  0.500
Li  0.447  0.161  0.052
O  0.887  0.352  0.324
Li  0.161  0.447  0.552
O  0.113  0.648  0.676
Li  0.553  0.839  0.948
Sn  0.500  0.500  0.000
P  0.769  0.014  0.318
O  0.002  0.998  0.750
O  0.549  0.220  0.436
O  0.068  0.276  0.608
P  0.014  0.769  0.818
O  0.724  0.932  0.892
O  0.780  0.451  0.064
O  0.648  0.113  0.176
P  0.986  0.231  0.182
O  0.932  0.724  0.392
Li  0.839  0.553  0.448
O  0.998  0.002  0.250

calculated volume = 14.660 Å³/atom
formation enthalpy at 0 K = -2.49 eV per atom
energy above the most stable polymorph in this dataset = 68.8 meV/atom

=====

Compound: Na6Ca6Zr2SiS11O48
Source: Materials Project
Functional: PBE
Structure: optimized geometry

a = 18.394 Å, b = 9.188 Å, c = 23.940 Å
α = 90.11°, β = 89.86°, γ = 119.95°
Positions (direct):
O  0.064  0.429  0.965
Ca  0.501  0.998  0.652
O  0.071  0.667  0.082
O  0.601  0.964  0.201
O  0.846  0.181  0.742
S  0.180  0.330  0.085
O  0.094  0.181  0.094
O  0.561  0.486  0.587
Na  0.002  0.001  0.998
O  0.609  0.023  0.301
O  0.914  0.534  0.745
O  0.430  0.319  0.535
Ca  0.832  0.329  0.179
O  0.096  0.198  0.415
Na  0.333  0.323  0.840
O  0.729  0.324  0.037
S  0.822  0.673  0.914
S  0.333  0.024  0.084
Na  0.674  0.675  0.679
O  0.730  0.140  0.533
O  0.931  0.514  0.416
S  0.149  0.292  0.750
O  0.757  0.648  0.586
O  0.060  0.486  0.586
S  0.986  0.644  0.087
S  0.833  0.627  0.585
O  0.934  0.566  0.038
O  0.175  0.487  0.080
S  0.322  0.673  0.916
O  0.008  0.185  0.906
Zr  0.993  0.001  0.846
Ca  0.334  0.330  0.481
O  0.948  0.550  0.139
O  0.849  0.130  0.034
O  0.829  0.526  0.635
Ca  0.162  0.669  0.011
O  0.243  0.143  0.636
S  0.161  0.971  0.914
O  0.896  0.980  0.413
O  0.077  0.469  0.246
O  0.585  0.987  0.906
O  0.507  0.816  0.411
O  0.928  0.317  0.535
O  0.888  0.985  0.685
O  0.006  0.203  0.198
O  0.660  0.459  0.757
O  0.827  0.108  0.135
O  0.414  0.534  0.745
Ca  0.671  0.676  0.816
Si  0.851  0.699  0.252
Ca  0.335  0.332  0.182
O  0.986  0.788  0.800
O  0.565  0.664  0.758
O  0.010  0.798  0.699
O  0.912  0.783  0.304
O  0.485  0.179  0.588
O  0.276  0.868  0.471
O  0.493  0.207  0.303
O  0.231  0.139  0.241
O  0.395  0.779  0.302
O  0.065  0.665  0.758
S  0.016  0.358  0.914
S  0.483  0.634  0.083
O  0.673  0.887  0.865
S  0.977  0.333  0.585
O  0.758  0.856  0.369
Ca  0.171  0.675  0.816
O  0.110  0.020  0.300
O  0.755  0.681  0.260
Na  0.329  0.320  0.329
O  0.673  0.488  0.081
O  0.564  0.430  0.965
S  0.504  0.309  0.254
S  0.016  0.667  0.415
S  0.348  0.695  0.250
S  0.519  0.667  0.415
S  0.169  0.369  0.418
S  0.190  0.044  0.586
O  0.339  0.120  0.033
O  0.898  0.820  0.195
O  0.056  0.659  0.361
O  0.431  0.333  0.248
O  0.235  0.307  0.745
S  0.649  0.291  0.750
O  0.603  0.215  0.699
O  0.400  0.967  0.417
O  0.670  0.476  0.362
O  0.607  0.180  0.800
Na  0.336  0.961  0.596
Zr  0.673  0.675  0.315
O  0.172  0.886  0.865
O  0.916  0.016  0.090
O  0.335  0.527  0.919
O  0.914  0.020  0.797
O  0.190  0.882  0.587
Na  0.169  0.670  0.165
O  0.596  0.182  0.084
O  0.770  0.651  0.865
O  0.430  0.342  0.636
O  0.772  0.870  0.470
Na  0.345  0.664  0.414
Zr  0.494  0.001  0.846
O  0.558  0.461  0.864
Na  0.172  0.675  0.679
O  0.723  0.345  0.139
O  0.996  0.819  0.093
Na  0.832  0.323  0.840
O  0.582  0.481  0.262
Na  0.513  0.019  0.002
S  0.662  0.971  0.914
Ca  0.504  0.006  0.152
O  0.984  0.180  0.589
O  0.659  0.843  0.262
O  0.736  0.142  0.919
O  0.290  0.701  0.970
O  0.107  0.181  0.799
O  0.814  0.123  0.414
O  0.339  0.526  0.248
O  0.066  0.672  0.464
O  0.996  0.208  0.299
O  0.443  0.537  0.134
Ca  0.498  0.001  0.349
O  0.160  0.459  0.757
Ca  0.667  0.668  0.012
Si  0.848  0.997  0.743
S  0.681  0.335  0.085
O  0.415  0.020  0.797
O  0.929  0.331  0.919
O  0.249  0.363  0.419
S  0.317  0.962  0.419
S  0.812  0.960  0.418
O  0.509  0.186  0.906
O  0.691  0.884  0.585
O  0.256  0.842  0.752
O  0.788  0.704  0.966
S  0.666  0.375  0.414
S  0.478  0.333  0.586
O  0.057  0.460  0.865
O  0.215  0.301  0.034
S  0.650  0.996  0.253
S  0.334  0.629  0.583
O  0.486  0.787  0.800
S  0.145  0.999  0.248
O  0.105  0.017  0.591
Na  0.009  0.994  0.495
S  0.691  0.047  0.585
O  0.569  0.660  0.079
Ca  0.000  0.998  0.651
O  0.408  0.829  0.907
O  0.257  0.850  0.081
S  0.496  0.700  0.750
O  0.234  0.355  0.134
O  0.258  0.649  0.585
Na  0.334  0.694  0.081
Na  0.991  0.636  0.256
Ca  0.833  0.339  0.479
O  0.103  0.216  0.699
Ca  0.834  0.333  0.985
O  0.410  0.800  0.585
S  0.836  0.029  0.085
O  0.909  0.797  0.586
O  0.236  0.142  0.918
O  0.143  0.833  0.247
O  0.567  0.660  0.365
O  0.267  0.653  0.869
O  0.331  0.135  0.420
Ca  0.167  0.667  0.316
O  0.393  0.795  0.200
O  0.929  0.342  0.636
Si  0.349  0.996  0.743
O  0.176  0.471  0.367
O  0.836  0.542  0.534
Ca  0.160  0.658  0.520
O  0.735  0.307  0.746
O  0.326  0.107  0.135
O  0.836  0.527  0.919
O  0.565  0.679  0.466
O  0.148  0.875  0.966
O  0.090  0.990  0.199
O  0.084  0.988  0.906
O  0.834  0.508  0.244
O  0.338  0.551  0.530
S  0.996  0.700  0.750
O  0.660  0.459  0.464
O  0.008  0.820  0.417
O  0.389  0.985  0.685
O  0.743  0.144  0.635
Na  0.688  0.365  0.243
O  0.509  0.797  0.699
O  0.434  0.515  0.414
O  0.431  0.547  0.034
O  0.486  0.800  0.087
S  0.001  0.298  0.248
O  0.649  0.873  0.966
O  0.163  0.454  0.469
Ca  0.662  0.659  0.521
O  0.926  0.319  0.244
O  0.523  0.240  0.204
Na  0.838  0.343  0.334
O  0.267  0.875  0.369
O  0.347  0.180  0.742
O  0.755  0.843  0.752
O  0.429  0.331  0.918
O  0.763  0.857  0.080
S  0.516  0.359  0.913
Na  0.837  0.963  0.596
Ca  0.331  0.324  0.984
Zr  0.834  0.330  0.690
O  0.744  0.364  0.412
Zr  0.334  0.329  0.690
O  0.734  0.145  0.248
O  0.264  0.682  0.251
Na  0.668  0.676  0.155
Na  0.513  0.016  0.501
O  0.909  0.830  0.906
O  0.591  0.206  0.410
O  0.229  0.137  0.535
Ca  0.999  0.998  0.351
O  0.408  0.002  0.086
O  0.605  0.020  0.589
Zr  0.991  0.990  0.152
O  0.331  0.524  0.632

calculated volume = 15.792 Å³/atom
formation enthalpy at 0 K = -2.53 eV per atom